(1)
# EuHfO3

Crystalline EuHfO3 at its relaxed geometry (meta-GGA r2SCAN, the Materials Project database).

Results
energy of formation from the pure elements = -3651 meV/atom
magnetization = 7.00 μB/cell

Unit cell a=4.098 b=4.098 c=4.098 alpha=90.00 beta=90.00 gamma=90.00
Atoms (fractional coordinates):
O 0.000 0.500 0.500
O 0.500 0.000 0.500
O 0.500 0.500 0.000
Eu 0.000 0.000 0.000
Hf 0.500 0.500 0.500

***

(2)
# Eu2Hf2O7

Crystalline Eu2Hf2O7 at its relaxed geometry (meta-GGA r2SCAN, the Materials Project database).

Results
energy of formation from the pure elements = -3586 meV/atom
magnetization = 24.00 μB/cell

Unit cell a=7.466 b=7.466 c=7.466 alpha=60.00 beta=60.00 gamma=60.00
Atoms (fractional coordinates):
Hf 0.625 0.625 0.625
Hf 0.125 0.625 0.625
Hf 0.625 0.125 0.625
Hf 0.625 0.625 0.125
O 0.709 0.709 0.291
O 0.000 0.000 0.000
O 0.541 0.959 0.541
O 0.959 0.541 0.959
O 0.709 0.291 0.291
O 0.959 0.958 0.541
O 0.959 0.541 0.541
O 0.541 0.541 0.959
O 0.250 0.250 0.250
O 0.709 0.291 0.709
O 0.291 0.709 0.709
O 0.291 0.709 0.291
O 0.291 0.292 0.709
O 0.541 0.959 0.959
Eu 0.125 0.125 0.625
Eu 0.625 0.125 0.125
Eu 0.125 0.125 0.125
Eu 0.125 0.625 0.125

***

(3)
# EuInHg2

Crystalline EuInHg2 at its relaxed geometry (meta-GGA r2SCAN, the Materials Project database).

Results
energy of formation from the pure elements = -497 meV/atom
magnetization = 6.98 μB/cell

Unit cell a=5.241 b=5.241 c=5.241 alpha=60.00 beta=60.00 gamma=60.00
Atoms (fractional coordinates):
Hg 0.250 0.250 0.250
Hg 0.750 0.750 0.750
In 0.000 0.000 0.000
Eu 0.500 0.500 0.500

***

(4)
# EuMgHg2

Crystalline EuMgHg2 at its relaxed geometry (meta-GGA r2SCAN, the Materials Project database).

Results
energy of formation from the pure elements = -479 meV/atom
magnetization = 7.14 μB/cell

Unit cell a=5.195 b=5.195 c=5.195 alpha=60.00 beta=60.00 gamma=60.00
Atoms (fractional coordinates):
Hg 0.750 0.750 0.750
Hg 0.250 0.250 0.250
Eu 0.500 0.500 0.500
Mg 0.000 0.000 0.000

***

(5)
# Eu2HgO4

Crystalline Eu2HgO4 at its relaxed geometry (meta-GGA r2SCAN, the Materials Project database).

Results
energy of formation from the pure elements = -2313 meV/atom
magnetization = 24.00 μB/cell

Unit cell a=3.736 b=7.129 c=8.961 alpha=77.87 beta=77.97 gamma=74.81
Atoms (fractional coordinates):
O 0.965 0.789 0.281
O 0.232 0.150 0.386
O 0.203 0.653 0.942
O 0.417 0.514 0.652
O 0.583 0.486 0.348
O 0.797 0.347 0.058
O 0.768 0.850 0.614
O 0.035 0.211 0.719
Eu 0.619 0.219 0.543
Eu 0.381 0.781 0.457
Eu 0.835 0.531 0.799
Eu 0.165 0.469 0.201
Hg 0.114 0.935 0.837
Hg 0.886 0.065 0.163

***

(6)
# EuHg2Pb

Crystalline EuHg2Pb at its relaxed geometry (meta-GGA r2SCAN, the Materials Project database).

Results
energy of formation from the pure elements = -456 meV/atom
magnetization = 6.96 μB/cell

Unit cell a=5.359 b=5.359 c=5.359 alpha=60.00 beta=60.00 gamma=60.00
Atoms (fractional coordinates):
Hg 0.250 0.250 0.250
Hg 0.750 0.750 0.750
Eu 0.500 0.500 0.500
Pb 0.000 0.000 0.000

***

(7)
# PmEuHg2

Crystalline PmEuHg2 at its relaxed geometry (meta-GGA r2SCAN, the Materials Project database).

Results
energy of formation from the pure elements = -583 meV/atom
magnetization = 7.29 μB/cell

Unit cell a=5.409 b=5.409 c=5.409 alpha=60.00 beta=60.00 gamma=60.00
Atoms (fractional coordinates):
Hg 0.750 0.750 0.750
Hg 0.250 0.250 0.250
Eu 0.500 0.500 0.500
Pm 0.000 0.000 0.000

***

(8)
# PrEuHg2

Crystalline PrEuHg2 at its relaxed geometry (meta-GGA r2SCAN, the Materials Project database).

Results
energy of formation from the pure elements = -581 meV/atom
magnetization = 7.20 μB/cell

Unit cell a=5.456 b=5.456 c=5.456 alpha=60.00 beta=60.00 gamma=60.00
Atoms (fractional coordinates):
Eu 0.500 0.500 0.500
Hg 0.250 0.250 0.250
Hg 0.750 0.750 0.750
Pr 0.000 0.000 0.000

***

(9)
# Eu2SnHg

Crystalline Eu2SnHg at its relaxed geometry (meta-GGA r2SCAN, the Materials Project database).

Results
energy of formation from the pure elements = -757 meV/atom
magnetization = 0.00 μB/cell

Unit cell a=5.562 b=5.562 c=5.562 alpha=60.01 beta=60.01 gamma=60.01
Atoms (fractional coordinates):
Hg 0.250 0.250 0.250
Eu 0.500 0.500 0.500
Eu 0.000 0.000 0.000
Sn 0.750 0.750 0.750

***

(10)
# SrEuHg2

Crystalline SrEuHg2 at its relaxed geometry (meta-GGA r2SCAN, the Materials Project database).

Results
energy of formation from the pure elements = -576 meV/atom
magnetization = 7.31 μB/cell

Unit cell a=5.552 b=5.552 c=5.552 alpha=60.00 beta=60.00 gamma=60.00
Atoms (fractional coordinates):
Eu 0.500 0.500 0.500
Hg 0.750 0.750 0.750
Hg 0.250 0.250 0.250
Sr 0.000 0.000 0.000

***

(11)
# Eu2TlHg

Crystalline Eu2TlHg at its relaxed geometry (meta-GGA r2SCAN, the Materials Project database).

Results
energy of formation from the pure elements = -574 meV/atom
magnetization = 14.36 μB/cell

Unit cell a=5.545 b=5.545 c=5.545 alpha=60.00 beta=60.00 gamma=60.00
Atoms (fractional coordinates):
Tl 0.000 0.000 0.000
Hg 0.500 0.500 0.500
Eu 0.750 0.750 0.750
Eu 0.250 0.250 0.250

***

(12)
# EuI2

Crystalline EuI2 at its relaxed geometry (meta-GGA r2SCAN, the Materials Project database).

Results
energy of formation from the pure elements = -1865 meV/atom
magnetization = 56.00 μB/cell

Unit cell a=7.897 b=8.228 c=15.236 alpha=90.00 beta=90.00 gamma=90.00
Atoms (fractional coordinates):
Eu 0.276 0.448 0.109
Eu 0.224 0.948 0.891
Eu 0.776 0.052 0.109
Eu 0.224 0.448 0.609
Eu 0.724 0.052 0.609
Eu 0.724 0.552 0.891
Eu 0.776 0.552 0.391
Eu 0.276 0.948 0.391
I 0.494 0.269 0.466
I 0.338 0.106 0.703
I 0.006 0.769 0.534
I 0.338 0.606 0.797
I 0.662 0.394 0.203
I 0.506 0.731 0.534
I 0.506 0.231 0.966
I 0.838 0.894 0.797
I 0.494 0.769 0.034
I 0.994 0.231 0.466
I 0.838 0.394 0.703
I 0.006 0.269 0.966
I 0.662 0.894 0.297
I 0.162 0.106 0.203
I 0.994 0.731 0.034
I 0.162 0.606 0.297

***

(13)
# EuI2

Crystalline EuI2 at its relaxed geometry (meta-GGA r2SCAN, the Materials Project database).

Results
energy of formation from the pure elements = -1876 meV/atom
magnetization = 28.00 μB/cell

Unit cell a=4.886 b=8.425 c=12.371 alpha=90.00 beta=90.00 gamma=90.00
Atoms (fractional coordinates):
I 0.750 0.874 0.107
I 0.250 0.620 0.878
I 0.250 0.374 0.393
I 0.750 0.380 0.122
I 0.750 0.626 0.607
I 0.250 0.880 0.378
I 0.750 0.120 0.622
I 0.250 0.126 0.893
Eu 0.250 0.371 0.672
Eu 0.250 0.129 0.172
Eu 0.750 0.871 0.828
Eu 0.750 0.629 0.328

***

(14)
# EuI2

Crystalline EuI2 at its relaxed geometry (meta-GGA r2SCAN, the Materials Project database).

Results
energy of formation from the pure elements = -1868 meV/atom
magnetization = 28.00 μB/cell

Unit cell a=7.713 b=7.952 c=8.252 alpha=90.00 beta=90.00 gamma=98.70
Atoms (fractional coordinates):
I 0.926 0.495 0.231
I 0.074 0.505 0.769
I 0.407 0.210 0.114
I 0.074 0.005 0.731
I 0.926 0.995 0.269
I 0.407 0.710 0.386
I 0.593 0.290 0.614
I 0.593 0.790 0.886
Eu 0.787 0.692 0.553
Eu 0.213 0.808 0.053
Eu 0.787 0.192 0.947
Eu 0.213 0.308 0.447

***

(15)
# KEu2I5

Crystalline KEu2I5 at its relaxed geometry (meta-GGA r2SCAN, the Materials Project database).

Results
energy of formation from the pure elements = -1835 meV/atom
magnetization = 56.00 μB/cell

Unit cell a=8.973 b=9.957 c=14.325 alpha=90.04 beta=90.00 gamma=90.00
Atoms (fractional coordinates):
Eu 0.525 0.003 0.680
Eu 0.426 0.750 0.005
Eu 0.975 0.003 0.180
Eu 0.025 0.997 0.820
Eu 0.574 0.250 0.995
Eu 0.926 0.250 0.495
Eu 0.475 0.997 0.320
Eu 0.074 0.750 0.505
I 0.166 0.221 0.318
I 0.189 0.767 0.283
I 0.689 0.233 0.217
I 0.834 0.779 0.682
I 0.174 0.462 0.587
I 0.338 0.041 0.099
I 0.162 0.041 0.599
I 0.326 0.462 0.087
I 0.674 0.538 0.913
I 0.666 0.779 0.182
I 0.662 0.959 0.901
I 0.543 0.219 0.498
I 0.457 0.781 0.502
I 0.811 0.233 0.717
I 0.311 0.767 0.783
I 0.838 0.959 0.401
I 0.957 0.219 0.998
I 0.334 0.221 0.818
I 0.043 0.781 0.002
I 0.826 0.538 0.413
K 0.547 0.507 0.671
K 0.953 0.507 0.171
K 0.453 0.493 0.329
K 0.047 0.493 0.829

***

(16)
# Eu2I2O

Crystalline Eu2I2O at its relaxed geometry (meta-GGA r2SCAN, the Materials Project database).

Results
energy of formation from the pure elements = -2374 meV/atom
magnetization = 28.00 μB/cell

Unit cell a=6.411 b=7.519 c=8.077 alpha=117.66 beta=113.38 gamma=90.00
Atoms (fractional coordinates):
I 0.649 0.297 0.297
I 0.351 0.703 0.703
I 0.149 0.999 0.297
I 0.851 0.001 0.703
Eu 0.410 0.237 0.820
Eu 0.590 0.763 0.180
Eu 0.090 0.416 0.180
Eu 0.910 0.584 0.820
O 0.750 0.500 0.000
O 0.250 0.500 0.000

***

(17)
# Eu2In

Crystalline Eu2In at its relaxed geometry (meta-GGA r2SCAN, the Materials Project database).

Results
energy of formation from the pure elements = -456 meV/atom
magnetization = 59.14 μB/cell

Unit cell a=5.575 b=7.182 c=10.279 alpha=90.00 beta=90.00 gamma=90.00
Atoms (fractional coordinates):
Eu 0.250 0.180 0.065
Eu 0.750 0.462 0.202
Eu 0.750 0.962 0.298
Eu 0.250 0.680 0.435
Eu 0.750 0.820 0.934
Eu 0.250 0.538 0.798
Eu 0.250 0.038 0.702
Eu 0.750 0.320 0.565
In 0.250 0.213 0.388
In 0.750 0.287 0.887
In 0.250 0.713 0.112
In 0.750 0.787 0.612

***

(18)
# EuIn

Crystalline EuIn at its relaxed geometry (meta-GGA r2SCAN, the Materials Project database).

Results
energy of formation from the pure elements = -602 meV/atom
magnetization = 7.11 μB/cell

Unit cell a=3.955 b=3.955 c=3.932 alpha=90.00 beta=90.00 gamma=90.00
Atoms (fractional coordinates):
Eu 0.000 0.000 0.000
In 0.500 0.500 0.500

***

(19)
# EuIn4Ir

Crystalline EuIn4Ir at its relaxed geometry (meta-GGA r2SCAN, the Materials Project database).

Results
energy of formation from the pure elements = -493 meV/atom
magnetization = 14.04 μB/cell

Unit cell a=8.832 b=8.832 c=7.444 alpha=90.00 beta=90.00 gamma=150.42
Atoms (fractional coordinates):
In 0.814 0.186 0.951
In 0.186 0.814 0.451
In 0.186 0.814 0.049
In 0.000 0.000 0.500
In 0.431 0.569 0.750
In 0.000 0.000 0.000
In 0.814 0.186 0.549
In 0.569 0.431 0.250
Ir 0.275 0.725 0.750
Ir 0.725 0.275 0.250
Eu 0.374 0.626 0.250
Eu 0.626 0.374 0.750

***

(20)
# EuInNi5

Crystalline EuInNi5 at its relaxed geometry (meta-GGA r2SCAN, the Materials Project database).

Results
energy of formation from the pure elements = -174 meV/atom
magnetization = 10.76 μB/cell

Unit cell a=10.230 b=10.230 c=10.230 alpha=27.62 beta=27.62 gamma=27.62
Atoms (fractional coordinates):
Ni 0.433 0.433 0.931
Ni 0.931 0.433 0.433
Ni 0.433 0.931 0.433
Ni 0.069 0.567 0.567
Ni 0.800 0.800 0.800
Ni 0.334 0.334 0.334
Ni 0.200 0.200 0.200
Ni 0.567 0.069 0.567
Ni 0.567 0.567 0.069
Ni 0.666 0.666 0.666
Eu 0.500 0.500 0.500
Eu 0.000 0.000 0.000
In 0.890 0.890 0.890
In 0.110 0.110 0.110